Material: CsMn2P2
Method: DFT, r²SCAN
State: relaxed

Computed properties:
The total energy is -1.110 Ry per atom. Its volume is 121.57 Å³ per cell. The value obtained for the magnetization is 7.03 μB per cell. For the calculated formation energy, the calculation gives -613 meV per atom.

POSCAR file:
```
CsMn2P2
1.0
-2.077 2.077 7.045
2.077 -2.077 7.045
2.077 2.077 -7.045
Cs Mn P
1 2 2
Direct
0.000 0.000 0.000 Cs
0.250 0.750 0.500 Mn
0.750 0.250 0.500 Mn
0.330 0.330 0.000 P
0.670 0.670 0.000 P
```